[1]
First-principles (PBE) data for a relaxed TiCrCuS4 crystal, as listed in the Materials Project database.

abc: 5.9062 7.0035 12.6502
angles: 73.96 86.91 89.78
With the nearest neighbours (Å) after each atom.
Element x y z (fractional)
Ti  0.0000  0.0000  0.0000  6 S 2.33-2.58
Ti  0.0215  0.5443  0.4902  5 S 2.35-2.50
Ti  0.0678  0.0328  0.5075  6 S 2.35-2.58
Ti  0.4870  0.2993  0.9919  6 S 2.38-2.51
Cr  0.0039  0.5301  0.9956  6 S 2.38-2.47
Cr  0.5056  0.7890  0.9952  6 S 2.38-2.49
Cr  0.5410  0.7892  0.5005  6 S 2.37-2.44
Cr  0.5461  0.2849  0.5004  6 S 2.39-2.44
Cu  0.1772  0.5047  0.2724  3 S 2.22-2.27
Cu  0.4581  0.0276  0.7488  4 S 2.30-2.40
Cu  0.6384  0.0234  0.2561  3 S 2.27-2.32
Cu  0.9400  0.5027  0.7445  4 S 2.30-2.41
S  0.1669  0.3362  0.8815  1 Cu 2.30, 1 Ti 2.38, 1 Cr 2.40
S  0.1900  0.8374  0.8795  1 Cu 2.35, 1 Ti 2.38, 2 Cr 2.40-2.47
S  0.1917  0.7201  0.6150  1 Cu 2.36, 2 Ti 2.37-2.50, 1 Cr 2.43
S  0.2059  0.2208  0.6187  1 Ti 2.35, 1 Cu 2.40, 1 Cr 2.41
S  0.3193  0.4858  0.1094  1 Cu 2.22, 2 Cr 2.38-2.44, 1 Ti 2.41
S  0.3343  0.9738  0.1097  1 Cr 2.38, 2 Ti 2.45-2.50
S  0.3962  0.5896  0.3921  1 Cu 2.24, 2 Cr 2.39-2.40, 1 Ti 2.46
S  0.3980  0.0987  0.3844  1 Cu 2.27, 1 Ti 2.39, 2 Cr 2.41-2.43
S  0.6754  0.0897  0.8815  1 Cu 2.30, 1 Cr 2.39, 2 Ti 2.47-2.51
S  0.6863  0.4838  0.6141  1 Cu 2.32, 2 Cr 2.41-2.44, 1 Ti 2.42
S  0.6878  0.5881  0.8806  2 Cr 2.39-2.49, 1 Ti 2.40, 1 Cu 2.41
S  0.6945  0.9789  0.6085  1 Cu 2.30, 2 Cr 2.37-2.39, 1 Ti 2.46
S  0.8210  0.7135  0.1117  1 Ti 2.33, 2 Cr 2.40-2.42
S  0.8228  0.2227  0.1034  1 Cu 2.27, 1 Cr 2.42, 2 Ti 2.47-2.49
S  0.8883  0.8478  0.3821  1 Cu 2.32, 2 Ti 2.35-2.58, 1 Cr 2.44
S  0.8917  0.3299  0.3853  1 Cu 2.27, 1 Cr 2.41, 2 Ti 2.41-2.49

Values from the calculation:
Symmetry: P1, No. 1
Formation energy: -1.1040 eV per atom

[2]
First-principles (PBE) data for a relaxed Al2O3 crystal, as listed in the Materials Project database.

abc: 5.5759 5.6041 14.5596
angles: 78.94 81.83 60.90
With the nearest neighbours (Å) after each atom.
Element x y z (fractional)
Al  0.0000  0.0000  0.0000  4 O 1.79-1.97
Al  0.0060  0.3621  0.1438  5 O 1.85-1.98
Al  0.0314  0.5122  0.9569  5 O 1.86-2.03
Al  0.0756  0.0764  0.8106  5 O 1.85-2.01
Al  0.2570  0.6086  0.4713  6 O 1.85-2.05
Al  0.2881  0.1766  0.3079  6 O 1.89-2.06
Al  0.3053  0.8020  0.6448  4 O 1.79-1.95
Al  0.4319  0.2319  0.6297  5 O 1.83-1.95
Al  0.4692  0.4696  0.1159  4 O 1.77-1.93
Al  0.5211  0.9672  0.9795  5 O 1.83-2.01
Al  0.5333  0.4633  0.8228  4 O 1.79-1.86
Al  0.6184  0.9549  0.4517  4 O 1.77-1.91
Al  0.6569  0.5948  0.3103  4 O 1.74-1.92
Al  0.7830  0.7726  0.7718  4 O 1.75-1.92
Al  0.9441  0.2665  0.5053  4 O 1.78-1.82
Al  0.9890  0.8422  0.2699  4 O 1.74-1.92
O  0.1095  0.9021  0.5438  3 Al 1.79-1.90
O  0.1216  0.3977  0.5582  3 Al 1.80-1.89
O  0.1482  0.0459  0.2300  3 Al 1.74-1.89
O  0.1706  0.5073  0.2153  4 Al 1.92-2.00
O  0.1886  0.1743  0.9107  4 Al 1.87-1.97
O  0.2134  0.6907  0.8805  3 Al 1.81-2.01
O  0.3147  0.3015  0.0555  4 Al 1.92-2.10
O  0.3280  0.8024  0.0499  3 Al 1.77-1.83
O  0.4027  0.4620  0.7120  3 Al 1.82-1.86
O  0.4098  0.9692  0.7354  4 Al 1.90-2.04
O  0.4322  0.2995  0.3894  2 Al 1.81-1.91
O  0.4328  0.8100  0.3972  3 Al 1.81-1.92
O  0.5636  0.9076  0.5752  3 Al 1.77-1.91
O  0.5888  0.3969  0.5395  3 Al 1.78-1.94
O  0.6492  0.9369  0.2529  2 Al 1.74-1.92
O  0.6606  0.4841  0.2060  3 Al 1.74-1.86
O  0.7071  0.7081  0.8945  3 Al 1.79-1.89
O  0.7239  0.1558  0.9015  3 Al 1.79-2.01
O  0.8309  0.2991  0.0585  3 Al 1.79-1.91
O  0.8544  0.7680  0.0423  3 Al 1.82-1.90
O  0.8582  0.4386  0.7600  3 Al 1.75-1.86
O  0.9426  0.3348  0.3777  3 Al 1.81-1.91
O  0.9565  0.7934  0.3977  3 Al 1.78-1.85
O  0.9617  0.9548  0.7217  3 Al 1.75-1.95

Values from the calculation:
Symmetry: P1, No. 1
Formation energy: -3.2654 eV per atom